Np2S5 after structural relaxation. Source: Materials Project, functional r²SCAN.

Cell: 7.418 9.894 7.531 Å, 90.00 90.00 90.00°
Atoms (fractional coordinates):
Np: 0.230 0.147 0.019
Np: 0.230 0.853 0.519
Np: 0.270 0.353 0.519
Np: 0.270 0.647 0.019
Np: 0.730 0.353 0.981
Np: 0.730 0.647 0.481
Np: 0.770 0.147 0.481
Np: 0.770 0.853 0.981
S: 0.000 0.251 0.750
S: 0.000 0.749 0.250
S: 0.099 0.399 0.149
S: 0.099 0.601 0.649
S: 0.136 0.107 0.387
S: 0.136 0.893 0.887
S: 0.364 0.393 0.887
S: 0.364 0.607 0.387
S: 0.401 0.101 0.649
S: 0.401 0.899 0.149
S: 0.500 0.249 0.250
S: 0.500 0.751 0.750
S: 0.599 0.101 0.851
S: 0.599 0.899 0.351
S: 0.636 0.393 0.613
S: 0.636 0.607 0.113
S: 0.864 0.107 0.113
S: 0.864 0.893 0.613
S: 0.901 0.399 0.351
S: 0.901 0.601 0.851

## Properties
The value obtained for the formation energy from the elements is -1.604 eV per atom. The volume comes out at 552.7 Å³ per cell. The spin magnetization is 24.0 μB/cell.